A relaxed Li9Mn2Co5O16 crystal. Source: the Materials Project database, functional PBE+U.

Properties
Formation energy, eV per atom: -1.806
Volume, A^3/atom: 9.02
Total magnetization, μB per cell: 10.3
Excess energy over the best structure of this formula in the dataset, kcal/mol of atoms: 1.33

Cell: 5.9050 2.8958 16.8743 Å, 90.00 90.33 90.00°
Element x y z (fractional)
Li: 0.0000 0.0000 0.0000
Li: 0.0012 0.0000 0.5069
Li: 0.0098 0.0000 0.7465
Li: 0.2432 0.5000 0.6333
Li: 0.2525 0.5000 0.1340
Li: 0.4839 0.0000 0.7461
Li: 0.5030 0.0000 0.2554
Li: 0.7523 0.5000 0.3776
Li: 0.7575 0.5000 0.8666
Mn: 0.2471 0.5000 0.8661
Mn: 0.5028 0.0000 0.0000
Co: 0.0044 0.0000 0.2556
Co: 0.2535 0.5000 0.3804
Co: 0.4961 0.0000 0.5069
Co: 0.7499 0.5000 0.1316
Co: 0.7548 0.5000 0.6342
O: 0.0136 0.0000 0.3782
O: 0.0265 0.0000 0.8747
O: 0.2423 0.5000 0.2581
O: 0.2440 0.5000 0.7580
O: 0.2628 0.5000 0.5028
O: 0.2750 0.5000 0.9912
O: 0.4742 0.0000 0.8697
O: 0.4955 0.0000 0.3854
O: 0.5144 0.0000 0.6258
O: 0.5199 0.0000 0.1292
O: 0.7312 0.5000 0.0014
O: 0.7362 0.5000 0.5175
O: 0.7464 0.5000 0.7366
O: 0.7667 0.5000 0.2520
O: 0.9768 0.0000 0.6268
O: 0.9844 0.0000 0.1300



A relaxed Li9Mn2Co5O16 crystal. Source: the Materials Project database, functional PBE+U.

Properties
Formation energy, eV per atom: -1.755
Volume, A^3/atom: 9.16
Total magnetization, μB per cell: 15.9
Excess energy over the best structure of this formula in the dataset, kcal/mol of atoms: 2.52

Cell: 3.0270 9.7773 9.9981 Å, 87.26 88.01 83.01°
Element x y z (fractional)
Li: 0.0000 0.0000 0.0000
Li: 0.1210 0.7540 0.1884
Li: 0.1240 0.7538 0.6883
Li: 0.3794 0.2429 0.0641
Li: 0.3816 0.2478 0.5639
Li: 0.6184 0.7522 0.4361
Li: 0.6206 0.7571 0.9359
Li: 0.8760 0.2462 0.3117
Li: 0.8790 0.2460 0.8116
Mn: 0.2392 0.4996 0.3730
Mn: 0.7608 0.5004 0.6270
Co: 0.0000 0.0000 0.5000
Co: 0.2580 0.5011 0.8775
Co: 0.4997 0.0008 0.2416
Co: 0.5003 0.9992 0.7584
Co: 0.7420 0.4989 0.1225
O: 0.0858 0.8859 0.8354
O: 0.0922 0.8866 0.3478
O: 0.1579 0.6185 0.5279
O: 0.1959 0.6171 0.0285
O: 0.2880 0.3847 0.2175
O: 0.3521 0.3839 0.7237
O: 0.4412 0.1148 0.8878
O: 0.4511 0.1090 0.3991
O: 0.5489 0.8910 0.6009
O: 0.5588 0.8852 0.1122
O: 0.6479 0.6161 0.2763
O: 0.7120 0.6153 0.7825
O: 0.8041 0.3829 0.9715
O: 0.8421 0.3815 0.4721
O: 0.9078 0.1134 0.6522
O: 0.9142 0.1141 0.1646